{"formula": "Sr6CaY2Ga3Cu6O21", "functional": "PBE", "state": "relaxed", "lattice_angstrom": [[-9.378, -7.444, -2.346], [-5.003, -10.772, -2.792], [-3.303, -6.289, 14.532]], "species": ["O", "O", "O", "O", "O", "O", "O", "O", "O", "O", "O", "O", "O", "O", "O", "O", "O", "O", "O", "O", "O", "O", "O", "O", "O", "O", "O", "O", "O", "O", "O", "O", "O", "O", "O", "O", "O", "O", "O", "O", "O", "O", "Sr", "Sr", "Sr", "Sr", "Sr", "Sr", "Sr", "Sr", "Sr", "Sr", "Sr", "Sr", "Cu", "Cu", "Cu", "Cu", "Cu", "Cu", "Cu", "Cu", "Cu", "Cu", "Cu", "Cu", "Ga", "Ga", "Ga", "Ga", "Ga", "Ga", "Y", "Y", "Y", "Y", "Ca", "Ca"], "fractional_positions": [[0.186, 0.185, 0.771], [0.631, 0.222, 0.934], [0.822, 0.812, 0.392], [0.133, 0.866, 0.882], [0.312, 0.310, 0.730], [0.368, 0.780, 0.385], [0.811, 0.823, 0.063], [0.690, 0.683, 0.436], [0.812, 0.822, 0.892], [0.310, 0.316, 0.394], [0.185, 0.186, 0.271], [0.690, 0.688, 0.270], [0.189, 0.177, 0.937], [0.814, 0.814, 0.729], [0.221, 0.631, 0.768], [0.692, 0.681, 0.606], [0.368, 0.779, 0.719], [0.308, 0.319, 0.564], [0.310, 0.312, 0.230], [0.133, 0.867, 0.215], [0.134, 0.867, 0.548], [0.683, 0.690, 0.936], [0.681, 0.692, 0.106], [0.222, 0.631, 0.434], [0.220, 0.632, 0.101], [0.780, 0.368, 0.885], [0.177, 0.189, 0.437], [0.688, 0.690, 0.770], [0.867, 0.133, 0.715], [0.369, 0.778, 0.052], [0.823, 0.811, 0.563], [0.779, 0.368, 0.219], [0.866, 0.133, 0.382], [0.867, 0.134, 0.048], [0.316, 0.310, 0.894], [0.814, 0.814, 0.229], [0.319, 0.308, 0.064], [0.778, 0.369, 0.552], [0.631, 0.221, 0.268], [0.632, 0.220, 0.601], [0.177, 0.189, 0.608], [0.189, 0.177, 0.108], [0.166, 0.636, 0.617], [0.166, 0.636, 0.284], [0.835, 0.365, 0.051], [0.365, 0.835, 0.551], [0.364, 0.834, 0.885], [0.834, 0.364, 0.718], [0.834, 0.364, 0.385], [0.364, 0.834, 0.218], [0.636, 0.166, 0.784], [0.165, 0.635, 0.951], [0.636, 0.166, 0.117], [0.635, 0.165, 0.451], [0.928, 0.426, 0.524], [0.427, 0.928, 0.690], [0.573, 0.072, 0.642], [0.427, 0.928, 0.358], [0.426, 0.928, 0.024], [0.573, 0.072, 0.309], [0.072, 0.573, 0.809], [0.574, 0.072, 0.976], [0.928, 0.427, 0.858], [0.072, 0.573, 0.142], [0.928, 0.427, 0.190], [0.072, 0.574, 0.476], [0.181, 0.819, 0.097], [0.819, 0.181, 0.264], [0.819, 0.181, 0.931], [0.181, 0.819, 0.764], [0.819, 0.181, 0.597], [0.181, 0.819, 0.431], [0.000, 0.500, 0.334], [0.500, 0.000, 0.834], [0.000, 0.500, 0.666], [0.500, 0.000, 0.166], [0.500, 0.000, 0.500], [0.000, 0.500, 0.000]], "formation_energy_ev_per_atom": -2.429, "spacegroup": "No. 9", "crystal_system": "monoclinic", "total_energy_ev_per_atom": -6.23}